8
Lattice="4.352 0.000 0.000 0.000 2.171 12.732 0.000 -2.171 12.732" Properties=species:S:1:pos:R:3 comment="LuUTe6 (GGA-PBE, relaxed)" energy_mp2020_ev_per_atom=-5.2871 magmom_total_mub_per_cell=0.290 e_form_kj_per_mol_fu=-736 pbc="T T T"
Lu 0.000 0.000 0.000
U 2.176 0.000 16.915
Te 0.000 0.000 3.215
Te 0.000 0.000 10.344
Te 0.000 0.000 19.290
Te 2.176 0.000 6.560
Te 2.176 0.000 13.697
Te 2.176 0.000 23.065

20
Lattice="6.942 0.000 0.000 0.000 5.998 0.000 -3.467 0.000 6.632" Properties=species:S:1:pos:R:3 comment="LiNi2S2 (GGA-PBE, relaxed)" energy_mp2020_ev_per_atom=-5.1740 magmom_total_mub_per_cell=0.005 e_form_kj_per_mol_fu=-398 relative_energy_ev_per_atom=0.000 pbc="T T T"
Li -0.060 0.032 3.312
Li -1.793 2.967 6.628
Li 5.268 3.031 0.004
Li 3.535 5.966 3.320
Ni -0.007 0.861 0.908
Ni -1.741 2.138 4.224
Ni 1.753 3.849 2.397
Ni 0.020 5.148 5.714
Ni 3.455 0.850 0.919
Ni 1.722 2.149 4.235
Ni 5.216 3.860 2.408
Ni 3.483 5.137 5.724
S -1.719 4.361 4.578
S 0.015 4.636 1.262
S -0.007 1.373 5.389
S 1.727 1.626 2.073
S 1.748 4.372 4.559
S 3.482 4.625 1.243
S 3.460 1.362 5.371
S 5.194 1.637 2.054